Computed, not measured: a geometry-optimized Rb3SbF6 structure at the PBE-GGA level of DFT.

```
data_Rb3SbF6
_cell_length_a 9.748
_cell_length_b 9.748
_cell_length_c 9.748
_cell_angle_alpha 90.00
_cell_angle_beta 90.00
_cell_angle_gamma 90.00
_space_group_name_H-M_alt 'F m -3 m'
_space_group_IT_number 225
_space_group_name_Hall '-F 4 2 3'
loop_
_atom_site_label
_atom_site_type_symbol
_atom_site_fract_x
_atom_site_fract_y
_atom_site_fract_z
Rb1 Rb 0.000 0.000 0.000
Rb2 Rb 0.250 0.250 0.250
Sb1 Sb 0.000 0.000 0.500
F1 F 0.000 0.000 0.274
```



Computed, not measured: a geometry-optimized Si6Bi3N11 structure at the PBE-GGA level of DFT.

```
data_Si6Bi3N11
_cell_length_a 10.182
_cell_length_b 10.182
_cell_length_c 4.945
_cell_angle_alpha 90.00
_cell_angle_beta 90.00
_cell_angle_gamma 90.00
_space_group_name_H-M_alt 'P 4 b m'
_space_group_IT_number 100
loop_
_space_group_symop_operation_xyz
'x,y,z'
'-y,x,z'
'-x,-y,z'
'y,-x,z'
'-x+1/2,y+1/2,z'
'y+1/2,x+1/2,z'
'x+1/2,-y+1/2,z'
'-y+1/2,-x+1/2,z'
loop_
_atom_site_label
_atom_site_type_symbol
_atom_site_fract_x
_atom_site_fract_y
_atom_site_fract_z
Si1 Si 0.080 0.210 0.000
Si2 Si 0.118 0.382 0.514
Bi1 Bi 0.000 0.000 0.447
Bi2 Bi 0.183 0.683 0.442
N1 N 0.000 0.500 0.514
N2 N 0.075 0.232 0.656
N3 N 0.078 0.822 0.119
N4 N 0.157 0.343 0.171
```



Computed, not measured: a geometry-optimized Pr2P2AuO structure at the PBE-GGA level of DFT.

```
data_Pr2P2AuO
_cell_length_a 15.344
_cell_length_b 4.272
_cell_length_c 10.041
_cell_angle_alpha 90.00
_cell_angle_beta 130.75
_cell_angle_gamma 90.00
_space_group_name_H-M_alt 'C 1 2/m 1'
_space_group_IT_number 12
loop_
_space_group_symop_operation_xyz
'x,y,z'
'-x,-y,-z'
'-x,y,-z'
'x,-y,z'
'x+1/2,y+1/2,z'
'-x+1/2,-y+1/2,-z'
'-x+1/2,y+1/2,-z'
'x+1/2,-y+1/2,z'
loop_
_atom_site_label
_atom_site_type_symbol
_atom_site_fract_x
_atom_site_fract_y
_atom_site_fract_z
Pr1 Pr 0.132 0.000 0.453
Pr2 Pr 0.172 0.000 0.114
P1 P 0.048 0.500 0.143
P2 P 0.148 0.000 0.767
Au1 Au 0.088 0.500 0.802
O1 O 0.222 0.500 0.573
```



Computed, not measured: a geometry-optimized MgTe2Mo2W2Se4S2 structure at the PBE-GGA level of DFT.

```
data_MgTe2Mo2W2Se4S2
_cell_length_a 3.334
_cell_length_b 3.334
_cell_length_c 38.141
_cell_angle_alpha 90.00
_cell_angle_beta 90.00
_cell_angle_gamma 60.00
_space_group_name_H-M_alt 'P 1'
_space_group_IT_number 1
loop_
_space_group_symop_operation_xyz
'x,y,z'
loop_
_atom_site_label
_atom_site_type_symbol
_atom_site_fract_x
_atom_site_fract_y
_atom_site_fract_z
Mg1 Mg 0.000 0.000 0.000
Te1 Te 0.965 0.039 0.178
Te2 Te 0.965 0.039 0.277
Mo1 Mo 0.298 0.372 0.227
Mo2 Mo 0.965 0.039 0.415
W1 W 0.298 0.372 0.603
W2 W 0.965 0.039 0.791
Se1 Se 0.298 0.372 0.372
Se2 Se 0.298 0.372 0.459
Se3 Se 0.298 0.372 0.747
Se4 Se 0.298 0.372 0.835
S1 S 0.965 0.039 0.563
S2 S 0.965 0.039 0.643
```

## Properties
Its energy relative to the lowest polymorph listed for this composition is 0.026 eV per atom.



Computed, not measured: a geometry-optimized K3Na3Nb8P5O35 structure at the PBE-GGA level of DFT.

```
data_K3Na3Nb8P5O35
_cell_length_a 9.1423
_cell_length_b 9.1423
_cell_length_c 30.8056
_cell_angle_alpha 90.00
_cell_angle_beta 90.00
_cell_angle_gamma 120.00
_space_group_name_H-M_alt 'R 3 2'
_space_group_IT_number 155
_space_group_name_Hall 'R 3 2"'
loop_
_atom_site_label
_atom_site_type_symbol
_atom_site_fract_x
_atom_site_fract_y
_atom_site_fract_z
K1 K 0.0000 0.4116 0.0000
Na1 Na 0.0000 0.2146 0.5000
Nb1 Nb 0.0000 0.0000 0.2341
Nb2 Nb 0.0063 0.7652 0.0634
P1 P 0.0000 0.0000 0.4075
P2 P 0.0000 0.5570 0.5000
O1 O 0.0000 0.0000 0.4565
O2 O 0.0000 0.7617 0.0000
O3 O 0.0053 0.8225 0.2659
O4 O 0.0115 0.1804 0.9319
O5 O 0.0312 0.7461 0.1315
O6 O 0.0536 0.8762 0.6120
O7 O 0.0562 0.1997 0.8118
```



Computed, not measured: a geometry-optimized Tb6InCo2 structure at the PBE-GGA level of DFT.

```
data_Tb6InCo2
_cell_length_a 9.441
_cell_length_b 9.710
_cell_length_c 10.002
_cell_angle_alpha 90.00
_cell_angle_beta 90.00
_cell_angle_gamma 90.00
_space_group_name_H-M_alt 'I m m m'
_space_group_IT_number 71
_space_group_name_Hall '-I 2 2'
loop_
_atom_site_label
_atom_site_type_symbol
_atom_site_fract_x
_atom_site_fract_y
_atom_site_fract_z
Tb1 Tb 0.000 0.208 0.234
Tb2 Tb 0.192 0.500 0.181
Tb3 Tb 0.213 0.315 0.500
In1 In 0.000 0.000 0.000
In2 In 0.000 0.000 0.500
Co1 Co 0.000 0.365 0.000
Co2 Co 0.000 0.500 0.388
```



Number 1: formation energy from the elements -2.84 eV per atom. Number 2: formation energy from the elements -0.73 eV per atom. Number 3: formation energy from the elements -1.77 eV per atom. Number 4: formation energy from the elements -0.52 eV per atom. Number 5: formation energy from the elements -2.90 eV per atom. Number 6: formation energy from the elements -0.25 eV per atom.